Record 1
{"formula": "ThIr5", "functional": "r²SCAN", "state": "relaxed", "lattice": [[-0.194, -3.055, -4.333], [4.673, 1.735, 1.815], [0.352, -3.557, 2.492]], "species": ["Th", "Ir", "Ir", "Ir", "Ir", "Ir"], "fractional_positions": [[0.000, 0.000, 0.000], [0.333, 0.667, 0.000], [0.667, 0.333, 0.000], [0.500, 0.000, 0.500], [0.500, 0.500, 0.500], [0.000, 0.500, 0.500]], "ef_kj_per_mol_atoms": -46, "m_tot_mub_per_cell": 0.00, "density_kg_m3": 18659}

Record 2
{"formula": "SiO2", "functional": "r²SCAN", "state": "relaxed", "lattice": [[14.284, 0.000, 0.000], [0.000, 14.284, 0.000], [0.000, 0.000, 14.284]], "species": ["Si", "Si", "Si", "Si", "Si", "Si", "Si", "Si", "Si", "Si", "Si", "Si", "Si", "Si", "Si", "Si", "Si", "Si", "Si", "Si", "Si", "Si", "Si", "Si", "Si", "Si", "Si", "Si", "Si", "Si", "Si", "Si", "Si", "Si", "Si", "Si", "Si", "Si", "Si", "Si", "Si", "Si", "Si", "Si", "Si", "Si", "Si", "Si", "O", "O", "O", "O", "O", "O", "O", "O", "O", "O", "O", "O", "O", "O", "O", "O", "O", "O", "O", "O", "O", "O", "O", "O", "O", "O", "O", "O", "O", "O", "O", "O", "O", "O", "O", "O", "O", "O", "O", "O", "O", "O", "O", "O", "O", "O", "O", "O", "O", "O", "O", "O", "O", "O", "O", "O", "O", "O", "O", "O", "O", "O", "O", "O", "O", "O", "O", "O", "O", "O", "O", "O", "O", "O", "O", "O", "O", "O", "O", "O", "O", "O", "O", "O", "O", "O", "O", "O", "O", "O", "O", "O", "O", "O", "O", "O"], "fractional_positions": [[0.104, 0.727, 0.809], [0.727, 0.191, 0.896], [0.191, 0.104, 0.273], [0.104, 0.273, 0.809], [0.104, 0.273, 0.191], [0.773, 0.604, 0.309], [0.273, 0.191, 0.104], [0.309, 0.227, 0.604], [0.604, 0.309, 0.227], [0.396, 0.691, 0.773], [0.309, 0.773, 0.396], [0.309, 0.227, 0.396], [0.809, 0.896, 0.273], [0.809, 0.104, 0.727], [0.191, 0.896, 0.273], [0.727, 0.809, 0.104], [0.727, 0.191, 0.104], [0.773, 0.396, 0.309], [0.604, 0.691, 0.227], [0.396, 0.309, 0.773], [0.309, 0.773, 0.604], [0.896, 0.273, 0.191], [0.273, 0.809, 0.104], [0.191, 0.896, 0.727], [0.191, 0.104, 0.727], [0.691, 0.227, 0.604], [0.396, 0.309, 0.227], [0.227, 0.604, 0.309], [0.227, 0.604, 0.691], [0.727, 0.809, 0.896], [0.604, 0.691, 0.773], [0.104, 0.727, 0.191], [0.773, 0.604, 0.691], [0.691, 0.773, 0.396], [0.809, 0.896, 0.727], [0.809, 0.104, 0.273], [0.896, 0.727, 0.809], [0.691, 0.227, 0.396], [0.396, 0.691, 0.227], [0.773, 0.396, 0.691], [0.227, 0.396, 0.309], [0.896, 0.273, 0.809], [0.227, 0.396, 0.691], [0.273, 0.191, 0.896], [0.273, 0.809, 0.896], [0.604, 0.309, 0.773], [0.691, 0.773, 0.604], [0.896, 0.727, 0.191], [0.108, 0.820, 0.743], [0.820, 0.743, 0.892], [0.849, 0.000, 0.287], [0.320, 0.392, 0.757], [0.713, 0.151, 0.000], [0.608, 0.243, 0.680], [0.000, 0.713, 0.849], [0.500, 0.651, 0.787], [0.743, 0.108, 0.820], [0.108, 0.180, 0.743], [0.135, 0.635, 0.750], [0.635, 0.750, 0.865], [0.500, 0.349, 0.213], [0.892, 0.180, 0.743], [0.250, 0.135, 0.365], [0.743, 0.892, 0.820], [0.213, 0.500, 0.651], [0.257, 0.108, 0.180], [0.135, 0.635, 0.250], [0.243, 0.680, 0.608], [0.743, 0.892, 0.180], [0.108, 0.820, 0.257], [0.250, 0.865, 0.635], [0.787, 0.500, 0.349], [0.349, 0.787, 0.500], [0.757, 0.680, 0.392], [0.365, 0.750, 0.865], [0.750, 0.865, 0.365], [0.713, 0.849, 0.000], [0.180, 0.743, 0.108], [0.680, 0.392, 0.757], [0.500, 0.349, 0.787], [0.349, 0.213, 0.500], [0.000, 0.287, 0.849], [0.392, 0.243, 0.680], [0.750, 0.135, 0.365], [0.750, 0.135, 0.635], [0.750, 0.865, 0.635], [0.651, 0.213, 0.500], [0.820, 0.257, 0.108], [0.250, 0.135, 0.635], [0.892, 0.820, 0.257], [0.135, 0.365, 0.750], [0.608, 0.757, 0.680], [0.257, 0.108, 0.820], [0.365, 0.250, 0.135], [0.135, 0.365, 0.250], [0.180, 0.257, 0.108], [0.743, 0.108, 0.180], [0.243, 0.680, 0.392], [0.180, 0.257, 0.892], [0.500, 0.651, 0.213], [0.257, 0.892, 0.180], [0.787, 0.500, 0.651], [0.365, 0.250, 0.865], [0.000, 0.287, 0.151], [0.865, 0.365, 0.750], [0.257, 0.892, 0.820], [0.320, 0.392, 0.243], [0.680, 0.392, 0.243], [0.635, 0.750, 0.135], [0.635, 0.250, 0.865], [0.151, 0.000, 0.287], [0.635, 0.250, 0.135], [0.392, 0.757, 0.320], [0.151, 0.000, 0.713], [0.892, 0.820, 0.743], [0.892, 0.180, 0.257], [0.243, 0.320, 0.392], [0.287, 0.151, 0.000], [0.287, 0.849, 0.000], [0.392, 0.757, 0.680], [0.243, 0.320, 0.608], [0.108, 0.180, 0.257], [0.180, 0.743, 0.892], [0.608, 0.243, 0.320], [0.365, 0.750, 0.135], [0.865, 0.365, 0.250], [0.213, 0.500, 0.349], [0.392, 0.243, 0.320], [0.865, 0.635, 0.250], [0.680, 0.608, 0.243], [0.820, 0.257, 0.892], [0.320, 0.608, 0.243], [0.651, 0.787, 0.500], [0.000, 0.713, 0.151], [0.250, 0.865, 0.365], [0.757, 0.680, 0.608], [0.757, 0.320, 0.392], [0.320, 0.608, 0.757], [0.680, 0.608, 0.757], [0.608, 0.757, 0.320], [0.820, 0.743, 0.108], [0.865, 0.635, 0.750], [0.757, 0.320, 0.608], [0.849, 0.000, 0.713]], "ef_kj_per_mol_atoms": -286, "m_tot_mub_per_cell": 0.00, "density_kg_m3": 1643}